(1)
# Mn3ReO6

Crystalline Mn3ReO6 at its relaxed geometry (PBE+U, the Materials Project).

abc: 5.3588 5.4536 7.8309
angles: 90.35 90.00 90.52
Closest atoms and distances in Å follow each position.
Space group P-1 (No. 2)
One atom of each set of equivalent atoms:
Mn 0.0000 0.0000 0.0000  6 O 2.12-2.23
Mn 0.0000 0.4546 0.7557  4 O 2.13-2.18
Mn 0.4954 0.9489 0.7405  4 O 2.14-2.18
Mn 0.5000 0.5000 0.5000  6 O 2.11-2.22
Re 0.0000 0.0000 0.5000  6 O 1.94-1.98
Re 0.5000 0.5000 0.0000  6 O 1.92-1.98
O 0.1219 0.9270 0.2665  1 Re 1.98, 2 Mn 2.15-2.18
O 0.1588 0.7014 0.5749  1 Re 1.94, 1 Mn 2.13
O 0.1922 0.6706 0.9436  1 Re 1.95, 2 Mn 2.12-2.14
O 0.3083 0.1712 0.5562  1 Re 1.94, 2 Mn 2.11-2.14
O 0.3448 0.2001 0.9255  1 Re 1.92
O 0.3789 0.4284 0.2333  1 Re 1.98, 2 Mn 2.14-2.18

Its total energy is -8.05 eV per atom. The volume comes out at 11.442 Å³/atom. The calculation puts the formation energy at -2.01 eV per atom. The calculation puts the MP2020-corrected energy at -8.967 eV/atom. For the energy relative to the lowest polymorph listed for this composition, the calculation gives 0 meV per atom.


(2)
# Li3Cr4P6O24

Crystalline Li3Cr4P6O24 at its relaxed geometry (PBE+U, the Materials Project).

abc: 8.3568 8.6356 11.9181
angles: 90.12 90.16 90.11
Closest atoms and distances in Å follow each position.
Space group P1 (No. 1)
One atom of each set of equivalent atoms:
Li 0.0000 0.0000 0.0000  4 O 1.98-2.04
Li 0.0008 0.5903 0.3486  4 O 1.94-2.06
Li 0.1005 0.2890 0.8365  4 O 1.98-2.07
Li 0.4919 0.9055 0.8525  4 O 1.94-2.00
Li 0.6000 0.2152 0.3385  4 O 1.97-2.06
Li 0.7267 0.7138 0.4796  4 O 1.94-2.03
Cr 0.1640 0.0276 0.2710  6 O 1.91-2.01
Cr 0.1658 0.9658 0.7706  6 O 1.92-2.01
Cr 0.1718 0.4696 0.0430  6 O 1.89-1.97
Cr 0.1767 0.5241 0.5479  6 O 1.89-2.04
Cr 0.6627 0.5333 0.2705  6 O 1.91-2.04
Cr 0.6658 0.4741 0.7724  6 O 1.93-1.98
Cr 0.6675 0.9733 0.0488  6 O 1.93-2.07
Cr 0.6702 0.0352 0.5445  6 O 1.90-1.99
P 0.0292 0.8830 0.5080  4 O 1.51-1.57
P 0.0326 0.6116 0.8026  4 O 1.53-1.56
P 0.3073 0.1116 0.0146  4 O 1.52-1.56
P 0.3093 0.3815 0.3034  4 O 1.53-1.56
P 0.3844 0.2503 0.6660  4 O 1.54-1.55
P 0.4537 0.7491 0.6494  4 O 1.54-1.55
P 0.5267 0.6157 0.0086  4 O 1.52-1.55
P 0.5303 0.8912 0.3028  4 O 1.54-1.55
P 0.8062 0.1186 0.8049  4 O 1.54-1.57
P 0.8068 0.3919 0.5157  4 O 1.54-1.57
P 0.8864 0.2514 0.1657  4 O 1.54-1.56
P 0.9572 0.7484 0.1492  4 O 1.53-1.55
O 0.0204 0.8591 0.2419  1 P 1.55
O 0.0416 0.7036 0.4896  1 P 1.57
O 0.0565 0.4960 0.9002  1 P 1.55
O 0.0633 0.9225 0.6293  1 P 1.51
O 0.0783 0.7765 0.8383  1 P 1.53
O 0.1022 0.6688 0.0962  1 P 1.53
O 0.1377 0.9778 0.4298  1 P 1.54
O 0.1430 0.5533 0.7077  1 P 1.55
O 0.1871 0.0514 0.1045  1 P 1.56
O 0.1941 0.4743 0.3807  1 P 1.56
O 0.2371 0.1778 0.7233  1 P 1.54
O 0.2421 0.2725 0.9760  1 P 1.56
O 0.2816 0.4266 0.1811  1 P 1.53
O 0.2912 0.0018 0.9121  1 P 1.55
O 0.2994 0.2038 0.3164  1 P 1.54
O 0.3237 0.3625 0.5743  1 P 1.55
O 0.3470 0.6747 0.5568  1 P 1.55
O 0.3514 0.5713 0.9805  1 P 1.55
O 0.3536 0.8938 0.2650  1 P 1.54
O 0.3653 0.8744 0.7168  1 P 1.54
O 0.4803 0.1169 0.0546  1 P 1.52
O 0.4810 0.1256 0.6029  1 P 1.54
O 0.4852 0.4184 0.3364  1 P 1.55
O 0.4881 0.3280 0.7580  1 P 1.55
O 0.5171 0.6390 0.7404  1 P 1.54
O 0.5430 0.7925 0.9887  1 P 1.55
O 0.5570 0.0081 0.4005  1 P 1.55
O 0.5611 0.5802 0.1309  1 P 1.52
O 0.5846 0.7286 0.3417  1 P 1.55
O 0.5984 0.8241 0.5897  1 P 1.55
O 0.6385 0.5225 0.9304  1 P 1.55
O 0.6423 0.9455 0.2084  1 P 1.54
O 0.6894 0.0263 0.8802  1 P 1.55
O 0.6966 0.4524 0.6090  1 P 1.54
O 0.7385 0.3222 0.2231  1 P 1.54
O 0.7491 0.2305 0.4758  1 P 1.55
O 0.7834 0.0718 0.6814  1 P 1.54
O 0.7903 0.5074 0.4151  1 P 1.57
O 0.7999 0.2961 0.8164  1 P 1.54
O 0.8333 0.1343 0.0754  1 P 1.54
O 0.8486 0.9172 0.4822  1 P 1.57
O 0.8544 0.6070 0.7647  1 P 1.56
O 0.8616 0.6280 0.2175  1 P 1.54
O 0.8619 0.8314 0.0562  1 P 1.54
O 0.9819 0.0789 0.8425  1 P 1.57
O 0.9825 0.3769 0.1030  1 P 1.54
O 0.9850 0.3911 0.5513  1 P 1.55
O 0.9906 0.1761 0.2599  1 P 1.56

Its total energy is -7.14 eV per atom. The volume comes out at 11.623 Å³/atom. The calculation puts the formation energy at -2.51 eV per atom. The calculation puts the MP2020-corrected energy at -7.799 eV/atom. For the energy relative to the lowest polymorph listed for this composition, the calculation gives 0 meV per atom.


(3)
# BaV2Cu3H2O10

Crystalline BaV2Cu3H2O10 at its relaxed geometry (PBE+U, the Materials Project).

abc: 10.3199 5.9883 7.8458
angles: 90.00 118.11 90.00
Closest atoms and distances in Å follow each position.
Space group C2/m (No. 12)
One atom of each set of equivalent atoms:
Ba 0.0000 0.0000 0.0000  6 O 2.72-2.83
V 0.0856 0.5000 0.7696  4 O 1.70-1.77
Cu 0.0000 0.0000 0.5000  2 O 1.90
Cu 0.2500 0.2500 0.5000  4 O 1.94-2.09
H 0.2387 0.5000 0.2265  1 O 1.03
O 0.0240 0.2572 0.3160  1 V 1.77
O 0.1684 0.5000 0.0158  1 H 1.46
O 0.2089 0.0000 0.6240  1 H 1.03
O 0.2212 0.5000 0.7021  1 V 1.71

Its total energy is -6.19 eV per atom. The volume comes out at 11.879 Å³/atom. The calculation puts the formation energy at -1.83 eV per atom. The calculation puts the MP2020-corrected energy at -6.759 eV/atom.


Question: Look up the volume of the second one.
Answer: 11.623 Å³/atom


Repeat the first record exactly.
# Mn3ReO6

Crystalline Mn3ReO6 at its relaxed geometry (PBE+U, the Materials Project).

abc: 5.3588 5.4536 7.8309
angles: 90.35 90.00 90.52
Closest atoms and distances in Å follow each position.
Space group P-1 (No. 2)
One atom of each set of equivalent atoms:
Mn 0.0000 0.0000 0.0000  6 O 2.12-2.23
Mn 0.0000 0.4546 0.7557  4 O 2.13-2.18
Mn 0.4954 0.9489 0.7405  4 O 2.14-2.18
Mn 0.5000 0.5000 0.5000  6 O 2.11-2.22
Re 0.0000 0.0000 0.5000  6 O 1.94-1.98
Re 0.5000 0.5000 0.0000  6 O 1.92-1.98
O 0.1219 0.9270 0.2665  1 Re 1.98, 2 Mn 2.15-2.18
O 0.1588 0.7014 0.5749  1 Re 1.94, 1 Mn 2.13
O 0.1922 0.6706 0.9436  1 Re 1.95, 2 Mn 2.12-2.14
O 0.3083 0.1712 0.5562  1 Re 1.94, 2 Mn 2.11-2.14
O 0.3448 0.2001 0.9255  1 Re 1.92
O 0.3789 0.4284 0.2333  1 Re 1.98, 2 Mn 2.14-2.18

Its total energy is -8.05 eV per atom. The volume comes out at 11.442 Å³/atom. The calculation puts the formation energy at -2.01 eV per atom. The calculation puts the MP2020-corrected energy at -8.967 eV/atom. For the energy relative to the lowest polymorph listed for this composition, the calculation gives 0 meV per atom.


Question: Which of these has the highest volume?
Answer: BaV2Cu3H2O10